Entry 1:
This record from the Materials Project database describes crystalline Na14Mg6Si5Ge2S7O48 at its relaxed geometry. The functional is PBE. Values from VASP.

The structure in Quantum ESPRESSO input format:
```
&SYSTEM
  ibrav = 0, nat = 246, ntyp = 6
/
ATOMIC_SPECIES
Na 22.99 Na.upf
Mg 24.30 Mg.upf
Si 28.09 Si.upf
Ge 72.64 Ge.upf
S 32.06 S.upf
O 16.00 O.upf
ATOMIC_POSITIONS angstrom
Na 0.000 0.000 0.000
Na 9.106 10.266 7.085
Na 0.098 10.750 15.132
Na 0.184 5.374 7.445
Na 0.452 0.282 15.196
Na 1.507 2.676 16.695
Na 1.569 2.624 5.699
Na 1.617 7.824 20.266
Na 1.645 12.916 1.915
Na 1.647 7.881 9.267
Na 1.783 13.365 12.984
Na 2.748 0.137 3.793
Na 3.004 5.406 18.863
Na 3.039 10.453 11.040
Na 3.144 10.187 18.822
Na 3.205 0.363 18.303
Na 3.308 10.604 3.956
Na 3.416 5.645 11.109
Na 3.458 5.120 3.696
Na 4.460 13.418 0.088
Na 4.517 12.909 14.862
Na 4.581 2.877 15.112
Na 4.711 7.992 7.118
Na 4.731 2.434 7.677
Na 4.951 13.225 7.697
Na 4.935 2.688 22.000
Na 5.101 7.852 14.964
Na 6.231 5.126 12.965
Na 6.215 0.094 9.227
Na 6.255 5.443 1.862
Na 6.301 10.352 16.846
Na 6.291 0.291 20.368
Na 6.382 10.388 5.564
Na 7.377 7.957 4.105
Na 7.720 13.151 18.583
Na 7.745 7.573 11.071
Na 7.746 2.524 18.229
Na 7.818 3.053 3.776
Na 7.933 12.670 4.039
Na 7.933 7.754 18.562
Na 8.961 0.051 7.395
Na 9.037 4.952 15.087
Mg 1.507 13.031 5.396
Mg 1.521 2.734 2.175
Mg 1.632 13.074 20.670
Mg 1.655 13.146 16.439
Mg 1.641 7.937 6.018
Mg 1.676 13.193 9.656
Mg 1.636 2.621 13.492
Mg 1.730 7.860 17.248
Mg 1.796 7.936 12.544
Mg 6.046 0.228 1.473
Mg 6.157 0.125 6.197
Mg 6.239 10.343 2.473
Mg 6.240 10.441 13.291
Mg 6.208 0.212 17.050
Mg 6.246 5.317 9.646
Mg 6.312 5.385 5.375
Mg 6.321 5.374 20.728
Mg 6.410 5.275 16.507
Si 0.290 15.352 18.570
Si 0.362 10.785 18.502
Si 0.420 10.171 3.778
Si 2.898 0.426 0.168
Si 3.033 15.321 7.486
Si 3.457 0.091 14.947
Si 4.397 7.813 3.934
Si 4.897 8.171 11.196
Si 4.942 7.578 18.521
Si 7.476 2.484 14.831
Si 7.517 3.034 7.480
Si 7.636 7.626 7.606
Si 7.864 2.781 0.309
Si 8.002 12.941 7.597
Si 9.002 5.186 18.586
Ge 1.280 2.494 20.024
Ge 1.447 2.504 8.902
Ge 1.919 7.894 1.772
Ge 5.929 0.266 12.801
Ge 6.292 10.342 8.909
Ge 6.444 10.268 19.955
S 0.183 0.411 11.222
S 0.403 5.645 3.806
S 0.414 4.933 11.210
S 2.918 5.202 0.301
S 3.018 5.648 14.781
S 3.064 10.193 14.808
S 3.090 10.750 7.611
S 3.462 5.238 7.578
S 3.629 10.347 0.192
S 4.267 2.602 11.209
S 4.442 12.988 18.566
S 4.807 3.013 18.530
S 4.805 2.434 3.858
S 4.908 13.384 3.788
S 4.920 12.835 11.227
S 7.468 12.598 0.180
S 7.519 13.386 14.737
S 7.673 8.179 0.219
S 8.141 7.931 14.759
S 8.774 0.114 3.816
S 8.919 10.484 11.218
O 0.039 2.643 14.641
O 0.092 8.031 0.216
O 0.199 7.857 7.476
O 0.180 3.017 7.766
O 0.395 11.699 17.131
O 0.530 14.473 19.897
O 0.478 1.193 9.900
O 0.634 9.283 5.098
O 0.645 9.190 11.232
O 0.685 14.379 3.795
O 0.615 1.333 3.868
O 0.689 1.175 12.357
O 0.720 6.507 2.610
O 0.797 9.235 18.333
O 0.852 11.591 11.103
O 0.862 6.277 5.054
O 0.884 4.231 12.398
O 0.956 14.600 11.149
O 0.961 6.444 18.375
O 1.008 14.779 17.231
O 0.953 1.365 18.651
O 0.983 6.329 11.163
O 1.004 3.880 18.906
O 1.006 4.269 9.952
O 1.080 4.312 3.738
O 1.188 11.622 3.798
O 1.217 11.459 19.680
O 1.211 9.346 2.482
O 2.199 14.817 6.164
O 2.186 6.588 0.351
O 2.200 1.379 7.750
O 2.309 14.423 0.037
O 2.342 1.116 1.521
O 2.422 11.537 14.896
O 2.414 4.613 21.085
O 2.424 4.273 14.729
O 2.445 6.343 15.939
O 2.538 9.375 7.564
O 2.543 6.406 7.483
O 2.600 14.252 14.917
O 2.562 4.410 1.498
O 2.599 9.566 13.538
O 2.563 1.548 20.878
O 2.636 11.390 8.865
O 2.609 1.465 14.773
O 2.630 3.972 7.641
O 2.714 11.543 6.421
O 2.709 6.397 13.518
O 2.732 9.348 15.960
O 2.780 9.104 0.207
O 2.795 11.571 0.121
O 2.882 14.333 8.734
O 3.250 8.100 11.123
O 3.312 2.653 3.842
O 3.316 2.909 18.461
O 3.366 7.936 18.349
O 3.423 12.893 11.228
O 3.424 13.268 3.868
O 3.398 7.450 2.607
O 3.400 2.679 12.388
O 3.432 7.988 5.219
O 3.454 2.499 9.935
O 3.594 12.830 17.349
O 3.622 13.160 19.779
O 4.260 5.399 8.816
O 4.325 5.106 6.387
O 4.378 5.387 0.280
O 4.424 0.236 16.222
O 4.475 10.430 1.395
O 4.492 10.268 20.957
O 4.548 15.223 13.585
O 4.497 5.529 14.870
O 4.568 10.391 14.791
O 4.516 0.163 7.313
O 4.528 0.285 0.090
O 4.609 10.665 7.574
O 5.122 3.807 11.160
O 5.133 6.552 19.723
O 5.123 1.333 11.238
O 5.128 1.613 5.037
O 5.241 14.151 2.555
O 5.260 11.717 18.643
O 5.251 9.290 9.911
O 5.228 3.794 17.334
O 5.255 9.191 3.771
O 5.256 3.665 19.772
O 5.253 1.769 2.611
O 5.309 12.057 12.434
O 5.361 14.149 18.454
O 5.383 12.146 9.986
O 5.358 6.491 3.920
O 5.384 1.638 18.500
O 5.471 14.038 4.985
O 5.489 11.999 3.728
O 5.475 3.771 3.925
O 5.520 8.838 12.528
O 5.555 14.200 11.232
O 5.522 6.667 11.036
O 5.690 9.128 18.805
O 5.754 7.124 17.151
O 6.644 1.706 13.506
O 6.694 3.723 8.674
O 6.735 3.941 14.857
O 6.840 11.941 20.953
O 6.812 3.998 0.101
O 6.876 12.027 14.610
O 6.882 13.968 0.131
O 6.877 9.143 7.701
O 6.912 11.651 7.875
O 6.891 7.044 6.281
O 6.967 6.908 0.109
O 7.012 13.965 15.983
O 7.031 14.221 7.408
O 7.043 11.886 1.378
O 7.057 1.350 0.244
O 7.057 1.492 7.344
O 7.200 14.271 13.541
O 7.179 8.936 1.365
O 7.263 6.733 14.735
O 7.281 9.190 14.790
O 7.251 1.538 16.104
O 7.387 6.744 8.933
O 7.431 9.025 20.928
O 7.519 3.931 6.108
O 7.637 0.084 18.463
O 7.707 10.773 18.776
O 7.755 0.264 11.217
O 7.852 10.353 3.626
O 7.945 5.536 19.720
O 7.935 0.083 2.597
O 7.933 0.133 5.029
O 7.973 5.490 3.775
O 7.990 5.015 11.180
O 8.028 10.360 10.006
O 8.117 10.652 12.435
O 8.223 4.727 17.200
O 8.769 12.481 6.214
O 8.741 2.976 1.649
O 8.934 12.663 0.095
O 8.895 2.507 21.007
O 8.992 13.230 14.710
O 8.970 7.914 13.518
O 8.993 7.970 15.953
O 9.037 13.171 8.786
CELL_PARAMETERS angstrom
9.046 0.000 0.000
0.091 15.493 0.000
0.007 0.018 22.021
```

## Properties
Symmetry: P1, No. 1
Total energy, eV per formula unit: -495.351
Energy with MP2020 corrections, eV for the cell shown: -1584.98

Entry 2:
This record from the Materials Project database describes crystalline TePtSe at its relaxed geometry. The functional is PBE. Values from VASP.

The structure in Quantum ESPRESSO input format:
```
&SYSTEM
  ibrav = 0, nat = 3, ntyp = 3
/
ATOMIC_SPECIES
Te 127.60 Te.upf
Pt 195.08 Pt.upf
Se 78.96 Se.upf
ATOMIC_POSITIONS angstrom
Te 0.000 0.000 0.000
Pt 0.000 2.285 3.907
Se 1.979 1.143 2.641
CELL_PARAMETERS angstrom
3.959 0.000 0.000
-1.979 3.428 0.000
0.000 0.000 5.295
```

## Properties
Symmetry: P3m1, No. 156
Total energy, eV per formula unit: -13.831
Energy with MP2020 corrections, eV for the cell shown: -14.30

Entry 3:
This record from the Materials Project database describes crystalline K5La2 at its relaxed geometry. The functional is PBE. Values from VASP.

The structure in Quantum ESPRESSO input format:
```
&SYSTEM
  ibrav = 0, nat = 14, ntyp = 2
/
ATOMIC_SPECIES
K 39.10 K.upf
La 138.91 La.upf
ATOMIC_POSITIONS angstrom
K 2.938 1.933 8.210
K 7.100 2.443 9.062
K 7.249 1.314 4.626
K 10.908 1.314 1.415
K 11.261 1.933 9.914
K 4.917 -1.933 2.169
K 5.270 -1.314 10.668
K 8.929 -1.314 7.457
K 9.079 -2.443 3.021
K 13.240 -1.933 3.873
La 6.436 1.705 0.374
La 11.721 1.705 5.668
La 4.457 -1.705 6.415
La 9.742 -1.705 11.710
CELL_PARAMETERS angstrom
10.068 -3.588 0.000
10.068 3.588 0.000
-3.958 0.000 12.083
```

## Properties
Symmetry: C2/c, No. 15
Total energy, eV per formula unit: -12.325

Entry 4:
This record from the Materials Project database describes crystalline CrSn3N3 at its relaxed geometry. The functional is PBE. Values from VASP.

The structure in Quantum ESPRESSO input format:
```
&SYSTEM
  ibrav = 0, nat = 14, ntyp = 3
/
ATOMIC_SPECIES
Cr 52.00 Cr.upf
Sn 118.71 Sn.upf
N 14.01 N.upf
ATOMIC_POSITIONS angstrom
Cr -0.005 1.038 2.664
Cr 4.621 3.113 5.335
Sn -2.186 1.038 5.491
Sn 1.345 3.113 0.647
Sn 1.083 3.113 4.850
Sn 3.533 1.038 3.149
Sn 3.271 1.038 7.352
Sn 6.802 3.113 2.508
N -1.641 1.038 3.350
N 0.225 1.038 0.905
N 1.403 1.038 3.749
N 3.213 3.113 4.249
N 4.391 3.113 7.094
N 6.257 3.113 4.648
CELL_PARAMETERS angstrom
9.215 0.000 0.000
0.000 4.151 0.000
-4.599 0.000 7.999
```

## Properties
Symmetry: P2_1/m, No. 11
Total energy, eV per formula unit: -44.824
Energy with MP2020 corrections, eV for the cell shown: -91.81

Entry 5:
This record from the Materials Project database describes crystalline Cs2PbI2Cl2 at its relaxed geometry. The functional is PBE. Values from VASP.

The structure in Quantum ESPRESSO input format:
```
&SYSTEM
  ibrav = 0, nat = 14, ntyp = 4
/
ATOMIC_SPECIES
Cs 132.91 Cs.upf
Pb 207.20 Pb.upf
I 126.90 I.upf
Cl 35.45 Cl.upf
ATOMIC_POSITIONS angstrom
Cs 0.000 0.000 7.183
Cs 0.000 0.000 12.302
Cs 2.884 2.884 16.926
Cs 2.884 2.884 2.560
Pb 2.884 2.884 9.743
Pb 0.000 0.000 0.000
I 2.884 2.884 12.984
I 2.884 2.884 6.502
I 0.000 0.000 3.241
I 0.000 0.000 16.245
Cl 2.884 0.000 9.743
Cl 0.000 2.884 9.743
Cl 0.000 2.884 0.000
Cl 2.884 0.000 0.000
CELL_PARAMETERS angstrom
5.768 0.000 0.000
0.000 5.768 0.000
0.000 0.000 19.486
```

## Properties
Total energy, eV per formula unit: -22.253
Energy with MP2020 corrections, eV for the cell shown: -46.96

Entry 6:
This record from the Materials Project database describes crystalline K2ZnF4 at its relaxed geometry. The functional is PBE. Values from VASP.

The structure in Quantum ESPRESSO input format:
```
&SYSTEM
  ibrav = 0, nat = 7, ntyp = 3
/
ATOMIC_SPECIES
K 39.10 K.upf
Zn 65.41 Zn.upf
F 19.00 F.upf
ATOMIC_POSITIONS angstrom
K 0.000 0.000 1.924
K 0.000 0.000 11.323
Zn 0.000 0.000 6.624
F 2.072 0.000 0.000
F 0.000 0.000 4.572
F 0.000 2.072 0.000
F 0.000 0.000 8.676
CELL_PARAMETERS angstrom
-2.072 2.072 6.624
2.072 -2.072 6.624
2.072 2.072 -6.624
```

## Properties
Symmetry: I4/mmm, No. 139
Total energy, eV per formula unit: -29.336
Energy with MP2020 corrections, eV for the cell shown: -31.18

Entry 7:
This record from the Materials Project database describes crystalline MgO at its relaxed geometry. The functional is PBE. Values from VASP.

The structure in Quantum ESPRESSO input format:
```
&SYSTEM
  ibrav = 0, nat = 80, ntyp = 2
/
ATOMIC_SPECIES
Mg 24.30 Mg.upf
O 16.00 O.upf
ATOMIC_POSITIONS angstrom
Mg 0.000 0.000 0.000
Mg -0.114 2.932 0.205
Mg -0.203 1.445 5.380
Mg 0.190 9.378 2.721
Mg 0.471 6.557 2.534
Mg 0.417 7.454 7.957
Mg 1.056 2.949 3.218
Mg 0.866 3.893 8.569
Mg 1.010 0.986 8.646
Mg 1.086 6.550 5.310
Mg 2.045 7.935 0.189
Mg 2.517 1.638 0.983
Mg 2.494 4.698 0.770
Mg 2.306 2.452 6.528
Mg 2.224 9.080 6.573
Mg 2.599 5.744 7.948
Mg 3.196 8.026 3.918
Mg 3.422 4.666 3.630
Mg 3.595 1.540 4.209
Mg 3.160 9.057 9.345
Mg 3.510 2.465 9.351
Mg 4.907 6.458 0.220
Mg 4.821 0.984 7.128
Mg 5.067 2.858 1.750
Mg 4.777 3.949 7.241
Mg 4.867 6.396 5.406
Mg 5.106 9.316 1.674
Mg 5.287 7.254 8.008
Mg 5.992 -0.267 4.661
Mg 6.112 2.571 5.011
Mg 5.971 0.747 9.994
Mg 6.302 6.500 3.013
Mg 6.127 3.867 10.284
Mg 6.940 9.236 7.620
Mg 7.501 1.529 2.527
Mg 7.385 2.435 7.795
Mg 7.477 4.676 4.774
Mg 7.631 7.330 0.046
Mg 7.472 5.248 7.904
Mg 7.918 8.112 5.074
O 0.222 7.986 1.127
O 0.598 1.511 1.790
O 0.384 2.287 7.216
O 0.317 8.565 6.347
O 0.434 5.633 7.110
O 1.315 8.066 3.601
O 1.525 4.883 2.509
O 1.674 1.808 4.740
O 1.502 -0.511 10.047
O 1.415 2.424 10.125
O 1.664 5.450 9.851
O 2.381 7.708 8.030
O 2.876 0.882 7.847
O 2.799 3.748 7.937
O 2.962 6.230 4.749
O 3.218 2.832 2.638
O 3.992 -0.244 5.260
O 4.005 8.210 0.445
O 4.475 1.469 0.343
O 4.272 2.582 5.790
O 4.487 4.491 0.506
O 4.341 5.841 7.111
O 5.077 8.035 3.284
O 5.547 1.377 3.311
O 5.388 -0.536 8.445
O 5.486 5.000 4.032
O 5.412 2.430 8.609
O 5.882 5.708 9.175
O 6.235 7.828 6.105
O 6.715 6.128 1.249
O 6.789 1.040 6.284
O 7.008 2.896 1.004
O 6.749 4.014 6.505
O 7.204 0.028 0.960
O 8.026 -0.017 3.974
O 8.033 2.913 4.069
O 7.687 7.708 8.831
O 7.973 0.836 9.147
O 7.957 3.806 9.298
O 8.193 6.373 4.131
CELL_PARAMETERS angstrom
8.981 0.000 0.000
-0.347 9.735 0.000
-0.488 -0.675 10.428
```

## Properties
Symmetry: P1, No. 1
Total energy, eV per formula unit: -11.459
Energy with MP2020 corrections, eV for the cell shown: -485.85

Which formula does entry 5 have? Cs2PbI2Cl2